[1]
Below is a relaxed structure of Li7Mn5O12, with properties calculated at the PBE with a Hubbard U level.

Cell lengths 5.932, 6.020, 12.696 Å; angles 103.44, 88.24, 93.78 degrees
Atoms (fractional coordinates):
Li  0.250  0.333  0.167
Li  0.750  0.333  0.167
Li  0.000  0.833  0.667
Li  0.500  0.833  0.667
Li  0.250  0.833  0.167
Li  0.750  0.833  0.167
Li  0.998  0.520  0.016
Li  0.498  0.520  0.016
Li  0.502  0.147  0.317
Li  0.002  0.147  0.317
Li  0.248  0.670  0.836
Li  0.748  0.670  0.836
Li  0.252  0.996  0.498
Li  0.752  0.996  0.498
Mn  0.500  0.333  0.667
Mn  0.506  0.997  0.009
Mn  0.494  0.669  0.325
Mn  0.242  0.503  0.499
Mn  0.758  0.164  0.835
Mn  0.000  0.333  0.667
Mn  0.006  0.997  0.009
Mn  0.994  0.669  0.325
Mn  0.742  0.503  0.499
Mn  0.258  0.163  0.835
O  0.268  0.218  0.997
O  0.768  0.218  0.997
O  0.232  0.449  0.336
O  0.732  0.449  0.336
O  0.500  0.079  0.155
O  0.000  0.079  0.155
O  0.000  0.587  0.178
O  0.500  0.587  0.178
O  0.487  0.405  0.829
O  0.987  0.405  0.829
O  0.013  0.262  0.505
O  0.513  0.262  0.505
O  0.231  0.574  0.660
O  0.731  0.574  0.660
O  0.269  0.092  0.673
O  0.769  0.092  0.673
O  0.477  0.736  0.490
O  0.977  0.736  0.490
O  0.023  0.931  0.844
O  0.523  0.931  0.844
O  0.257  0.885  0.332
O  0.757  0.885  0.332
O  0.243  0.781  0.001
O  0.743  0.781  0.001

Summary:
relative energy among the computed polymorphs: 3.8 kJ/mol of atoms
energy relative to the elements: -50.83 eV per formula unit

[2]
Below is a relaxed structure of Li2Mn3P4O14, with properties calculated at the PBE with a Hubbard U level.

Cell lengths 5.361, 6.643, 16.223 Å; angles 81.75, 82.84, 71.86 degrees
Atoms (fractional coordinates):
Li  0.926  0.783  0.005
Li  0.355  0.691  0.117
Li  0.074  0.217  0.995
Li  0.645  0.309  0.883
Mn  0.255  0.971  0.332
Mn  0.745  0.029  0.668
Mn  0.964  0.381  0.187
Mn  0.036  0.619  0.813
Mn  0.837  0.709  0.424
Mn  0.163  0.291  0.576
P  0.167  0.092  0.791
P  0.564  0.243  0.073
P  0.371  0.443  0.318
P  0.718  0.217  0.461
P  0.436  0.757  0.927
P  0.629  0.557  0.682
P  0.833  0.908  0.209
P  0.282  0.783  0.539
O  0.327  0.140  0.710
O  0.578  0.159  0.546
O  0.599  0.469  0.258
O  0.605  0.054  0.150
O  0.892  0.023  0.419
O  0.865  0.379  0.465
O  0.979  0.714  0.160
O  0.283  0.860  0.005
O  0.219  0.304  0.290
O  0.737  0.678  0.928
O  0.468  0.323  0.407
O  0.978  0.965  0.783
O  0.673  0.860  0.290
O  0.717  0.140  0.995
O  0.781  0.696  0.710
O  0.395  0.946  0.850
O  0.401  0.531  0.742
O  0.183  0.660  0.339
O  0.135  0.621  0.535
O  0.322  0.584  0.908
O  0.678  0.416  0.092
O  0.021  0.286  0.840
O  0.022  0.035  0.217
O  0.817  0.340  0.661
O  0.422  0.841  0.454
O  0.532  0.677  0.593
O  0.108  0.977  0.581
O  0.263  0.322  0.072

Summary:
relative energy among the computed polymorphs: 1.5 kJ/mol of atoms
energy relative to the elements: -59.92 eV per formula unit

[3]
Below is a relaxed structure of MgCrGaO4, with properties calculated at the PBE with a Hubbard U level.

Cell lengths 5.297, 6.048, 5.179 Å; angles 100.03, 78.54, 151.16 degrees
Atoms (fractional coordinates):
Mg  0.501  0.035  0.032
Cr  0.567  0.035  0.505
Ga  0.496  0.535  0.928
O  0.240  0.035  0.802
O  0.199  0.536  0.740
O  0.849  0.035  0.165
O  0.922  0.535  0.316

Summary:
relative energy among the computed polymorphs: 0.0 kJ/mol of atoms
energy relative to the elements: -16.41 eV per formula unit

[4]
Below is a relaxed structure of Ba2Mn3AlO8, with properties calculated at the PBE with a Hubbard U level.

Cell lengths 3.880, 3.880, 11.806 Å; angles 90.00, 90.00, 90.00 degrees
Atoms (fractional coordinates):
Ba  0.500  0.500  0.168
Ba  0.500  0.500  0.832
Mn  0.000  0.000  0.353
Mn  0.000  0.000  0.000
Mn  0.000  0.000  0.647
Al  0.500  0.500  0.500
O  0.000  0.500  0.396
O  0.500  0.000  0.396
O  0.500  0.000  0.000
O  0.000  0.000  0.180
O  0.000  0.500  0.604
O  0.500  0.000  0.604
O  0.000  0.000  0.820
O  0.000  0.500  0.000

Summary:
energy relative to the elements: -32.77 eV per formula unit

[5]
Below is a relaxed structure of KEuMo2O8, with properties calculated at the PBE with a Hubbard U level.

Cell lengths 5.423, 7.081, 10.868 Å; angles 75.60, 76.52, 67.58 degrees
Atoms (fractional coordinates):
K  0.118  0.195  0.556
K  0.882  0.805  0.444
Eu  0.120  0.687  0.064
Eu  0.880  0.313  0.936
Mo  0.364  0.563  0.715
Mo  0.387  0.069  0.171
Mo  0.613  0.931  0.829
Mo  0.636  0.437  0.285
O  0.792  0.987  0.932
O  0.458  0.310  0.090
O  0.119  0.562  0.869
O  0.696  0.858  0.196
O  0.208  0.013  0.068
O  0.410  0.805  0.652
O  0.750  0.496  0.405
O  0.306  0.625  0.255
O  0.828  0.914  0.680
O  0.590  0.195  0.348
O  0.250  0.504  0.595
O  0.542  0.690  0.910
O  0.172  0.086  0.320
O  0.694  0.375  0.745
O  0.304  0.142  0.804
O  0.881  0.438  0.131

Summary:
energy relative to the elements: -28.25 eV per formula unit

[6]
Below is a relaxed structure of DySbMo2O9, with properties calculated at the PBE with a Hubbard U level.

Cell lengths 9.712, 9.712, 10.864 Å; angles 68.12, 68.12, 95.40 degrees
Atoms (fractional coordinates):
Dy  0.874  0.126  0.250
Dy  0.328  0.672  0.250
Dy  0.126  0.874  0.750
Dy  0.672  0.328  0.750
Sb  0.349  0.380  0.036
Sb  0.651  0.620  0.964
Sb  0.380  0.349  0.536
Sb  0.620  0.651  0.464
Mo  0.741  0.954  0.025
Mo  0.566  0.943  0.693
Mo  0.057  0.434  0.807
Mo  0.259  0.046  0.975
Mo  0.943  0.566  0.193
Mo  0.046  0.259  0.475
Mo  0.434  0.057  0.307
Mo  0.954  0.741  0.525
O  0.635  0.791  0.797
O  0.043  0.221  0.326
O  0.957  0.779  0.674
O  0.406  0.222  0.921
O  0.298  0.870  0.068
O  0.856  0.379  0.226
O  0.933  0.905  0.398
O  0.979  0.306  0.998
O  0.621  0.144  0.274
O  0.365  0.209  0.203
O  0.144  0.621  0.774
O  0.021  0.694  0.002
O  0.542  0.423  0.600
O  0.222  0.406  0.421
O  0.791  0.635  0.297
O  0.594  0.778  0.079
O  0.779  0.957  0.174
O  0.379  0.856  0.726
O  0.423  0.542  0.100
O  0.870  0.298  0.568
O  0.130  0.702  0.432
O  0.221  0.043  0.826
O  0.905  0.933  0.898
O  0.557  0.094  0.748
O  0.906  0.443  0.752
O  0.778  0.594  0.579
O  0.094  0.557  0.248
O  0.577  0.458  0.900
O  0.095  0.067  0.102
O  0.458  0.577  0.400
O  0.443  0.906  0.252
O  0.209  0.365  0.703
O  0.306  0.979  0.498
O  0.067  0.095  0.602
O  0.694  0.021  0.502
O  0.702  0.130  0.932

Summary:
energy relative to the elements: -30.93 eV per formula unit

[7]
Below is a relaxed structure of Li7Mn8B8O24, with properties calculated at the PBE with a Hubbard U level.

Cell lengths 5.275, 9.077, 11.550 Å; angles 111.90, 102.06, 89.63 degrees
Atoms (fractional coordinates):
Li  0.974  0.962  0.086
Li  0.715  0.750  0.330
Li  0.470  0.463  0.092
Li  0.521  0.490  0.827
Li  0.225  0.260  0.341
Li  0.201  0.222  0.587
Li  0.026  0.990  0.835
Mn  0.976  0.643  0.115
Mn  0.745  0.440  0.377
Mn  0.727  0.038  0.616
Mn  0.477  0.146  0.123
Mn  0.538  0.852  0.866
Mn  0.251  0.936  0.368
Mn  0.212  0.584  0.620
Mn  0.027  0.336  0.868
B  0.975  0.315  0.129
B  0.758  0.106  0.378
B  0.736  0.385  0.625
B  0.475  0.814  0.123
B  0.532  0.187  0.879
B  0.250  0.611  0.373
B  0.243  0.896  0.627
B  0.031  0.686  0.869
O  0.735  0.348  0.163
O  0.858  0.481  0.579
O  0.886  0.274  0.660
O  0.593  0.914  0.079
O  0.594  0.682  0.133
O  0.938  0.833  0.895
O  0.915  0.573  0.901
O  0.659  0.982  0.404
O  0.588  0.205  0.337
O  0.762  0.144  0.839
O  0.499  0.608  0.360
O  0.481  0.400  0.635
O  0.234  0.846  0.157
O  0.415  0.786  0.654
O  0.328  0.004  0.581
O  0.091  0.412  0.081
O  0.100  0.189  0.148
O  0.434  0.333  0.890
O  0.396  0.081  0.911
O  0.155  0.508  0.426
O  0.078  0.708  0.333
O  0.253  0.650  0.814
O  0.024  0.130  0.393
O  0.001  0.893  0.650

Summary:
energy relative to the elements: -116.76 eV per formula unit

[8]
Below is a relaxed structure of LiFeH12S2O14, with properties calculated at the PBE with a Hubbard U level.

Cell lengths 11.895, 6.025, 8.990 Å; angles 74.32, 90.00, 90.00 degrees
Atoms (fractional coordinates):
Li  0.105  0.648  0.352
Li  0.605  0.352  0.648
Fe  0.000  0.997  0.753
Fe  0.500  0.003  0.247
H  0.066  0.332  0.862
H  0.856  0.652  0.784
H  0.402  0.063  0.967
H  0.635  0.093  0.000
H  0.309  0.995  0.105
H  0.102  0.663  0.964
H  0.602  0.337  0.036
H  0.809  0.005  0.895
H  0.135  0.907  0.000
H  0.902  0.937  0.033
H  0.356  0.348  0.216
H  0.566  0.668  0.138
H  0.444  0.341  0.357
H  0.648  0.658  0.287
H  0.092  0.070  0.472
H  0.868  0.090  0.507
H  0.191  0.990  0.600
H  0.409  0.668  0.462
H  0.909  0.332  0.538
H  0.691  0.010  0.400
H  0.368  0.910  0.493
H  0.592  0.930  0.528
H  0.148  0.342  0.713
H  0.944  0.659  0.643
S  0.636  0.737  0.831
S  0.136  0.263  0.169
S  0.864  0.731  0.356
S  0.364  0.269  0.644
O  0.071  0.295  0.758
O  0.420  0.219  0.795
O  0.891  0.022  0.920
O  0.731  0.585  0.810
O  0.677  0.969  0.844
O  0.114  0.834  0.917
O  0.075  0.385  0.025
O  0.575  0.615  0.975
O  0.614  0.166  0.083
O  0.177  0.031  0.156
O  0.231  0.415  0.190
O  0.391  0.978  0.080
O  0.435  0.303  0.255
O  0.060  0.229  0.304
O  0.920  0.781  0.205
O  0.571  0.705  0.242
O  0.609  0.032  0.420
O  0.766  0.571  0.371
O  0.825  0.946  0.393
O  0.389  0.832  0.410
O  0.454  0.387  0.527
O  0.954  0.613  0.473
O  0.889  0.168  0.590
O  0.325  0.054  0.607
O  0.266  0.429  0.629
O  0.109  0.968  0.580
O  0.560  0.771  0.696
O  0.935  0.697  0.745

Summary:
energy relative to the elements: -45.70 eV per formula unit

[9]
Below is a relaxed structure of Li3V5O10, with properties calculated at the PBE with a Hubbard U level.

Cell lengths 7.944, 7.944, 10.051 Å; angles 86.60, 86.60, 142.63 degrees
Atoms (fractional coordinates):
Li  0.353  0.647  0.750
Li  0.449  0.551  0.250
Li  0.849  0.151  0.250
Li  0.151  0.849  0.750
Li  0.551  0.449  0.750
Li  0.647  0.353  0.250
V  0.097  0.399  0.507
V  0.190  0.285  0.002
V  0.285  0.190  0.502
V  0.715  0.810  0.498
V  0.601  0.903  0.993
V  0.399  0.097  0.007
V  0.903  0.601  0.493
V  0.810  0.715  0.998
V  0.000  0.500  0.000
V  0.500  0.000  0.500
O  0.481  0.776  0.394
O  0.224  0.519  0.106
O  0.442  0.345  0.109
O  0.983  0.280  0.896
O  0.345  0.442  0.609
O  0.072  0.182  0.390
O  0.818  0.928  0.110
O  0.280  0.983  0.396
O  0.720  0.017  0.604
O  0.182  0.072  0.890
O  0.928  0.818  0.610
O  0.017  0.720  0.104
O  0.558  0.655  0.891
O  0.655  0.558  0.391
O  0.348  0.849  0.892
O  0.151  0.652  0.608
O  0.776  0.481  0.894
O  0.849  0.348  0.392
O  0.519  0.224  0.606
O  0.652  0.151  0.108

Summary:
relative energy among the computed polymorphs: 1.6 kJ/mol of atoms
energy relative to the elements: -44.14 eV per formula unit

[10]
Below is a relaxed structure of CaLaFeBiO6, with properties calculated at the PBE with a Hubbard U level.

Cell lengths 5.799, 5.799, 8.508 Å; angles 90.00, 90.00, 90.00 degrees
Atoms (fractional coordinates):
Ca  0.000  0.500  0.250
Ca  0.500  0.000  0.750
La  0.000  0.000  0.500
La  0.500  0.500  0.000
Fe  0.000  0.000  0.000
Fe  0.500  0.500  0.500
Bi  0.500  0.000  0.250
Bi  0.000  0.500  0.750
O  0.000  0.000  0.233
O  0.500  0.500  0.267
O  0.000  0.000  0.767
O  0.500  0.500  0.733
O  0.313  0.135  0.005
O  0.687  0.865  0.005
O  0.865  0.313  0.995
O  0.135  0.687  0.995
O  0.813  0.365  0.505
O  0.187  0.635  0.505
O  0.365  0.187  0.495
O  0.635  0.813  0.495

Summary:
relative energy among the computed polymorphs: 25.1 kJ/mol of atoms
energy relative to the elements: -22.41 eV per formula unit

[11]
Below is a relaxed structure of MnFeO2, with properties calculated at the PBE with a Hubbard U level.

Cell lengths 3.117, 3.117, 4.412 Å; angles 90.00, 90.00, 90.00 degrees
Atoms (fractional coordinates):
Mn  0.500  0.500  0.500
Fe  0.000  0.000  0.000
O  0.000  0.000  0.500
O  0.500  0.500  0.000

Summary:
energy relative to the elements: -5.74 eV per formula unit